1.
VASP calculation (PBE) on crystalline CeTaO3 at its relaxed geometry.

```
CeTaO3
1.0
4.055 0.000 0.000
0.000 4.055 0.000
0.000 0.000 4.055
Ce Ta O
1 1 3
Direct
0.000 0.000 0.000 Ce
0.500 0.500 0.500 Ta
0.000 0.500 0.500 O
0.500 0.000 0.500 O
0.500 0.500 0.000 O
```

Properties
Raw total energy = -9.171 eV per atom
Formation energy = -3.056 eV/atom
Space-group type = No. 221

2.
VASP calculation (PBE) on crystalline HoAgSe2 at its relaxed geometry.

```
HoAgSe2
1.0
4.090 0.000 0.000
0.000 4.090 0.000
0.000 0.000 5.707
Ho Ag Se
1 1 2
Direct
0.000 0.000 0.000 Ho
0.500 0.500 0.500 Ag
0.000 0.000 0.500 Se
0.500 0.500 0.000 Se
```

Properties
Raw total energy = -4.698 eV per atom
Formation energy = -1.332 eV/atom
Space-group type = No. 123

3.
VASP calculation (PBE) on crystalline TiNbC2 at its relaxed geometry.

```
TiNbC2
1.0
1.567 0.905 5.101
-1.567 0.905 5.101
0.000 -1.809 5.101
Ti Nb C
1 1 2
Direct
0.000 0.000 0.000 Ti
0.500 0.500 0.500 Nb
0.252 0.252 0.252 C
0.748 0.748 0.748 C
```

Properties
Raw total energy = -9.778 eV per atom
Formation energy = -0.665 eV/atom
Space-group type = No. 166

4.
VASP calculation (PBE) on crystalline ErTmZn2 at its relaxed geometry.

```
ErTmZn2
1.0
0.000 3.539 3.539
3.539 0.000 3.539
3.539 3.539 0.000
Er Tm Zn
1 1 2
Direct
0.000 0.000 0.000 Er
0.500 0.500 0.500 Tm
0.250 0.250 0.250 Zn
0.750 0.750 0.750 Zn
```

Properties
Raw total energy = -3.246 eV per atom
Formation energy = -0.355 eV/atom
Space-group type = No. 225

5.
VASP calculation (PBE) on crystalline La5Sn4 at its relaxed geometry.

```
La5Sn4
1.0
8.554 0.000 0.000
0.000 16.345 0.000
0.000 0.000 8.642
La Sn
20 16
Direct
0.026 0.101 0.180 La
0.026 0.399 0.180 La
0.119 0.617 0.339 La
0.119 0.883 0.339 La
0.211 0.250 0.503 La
0.289 0.750 0.003 La
0.381 0.117 0.839 La
0.381 0.383 0.839 La
0.474 0.601 0.680 La
0.474 0.899 0.680 La
0.526 0.101 0.320 La
0.526 0.399 0.320 La
0.619 0.617 0.161 La
0.619 0.883 0.161 La
0.711 0.250 0.997 La
0.789 0.750 0.497 La
0.881 0.117 0.661 La
0.881 0.383 0.661 La
0.974 0.601 0.820 La
0.974 0.899 0.820 La
0.082 0.250 0.886 Sn
0.172 0.750 0.638 Sn
0.220 0.044 0.531 Sn
0.220 0.456 0.531 Sn
0.280 0.544 0.031 Sn
0.280 0.956 0.031 Sn
0.328 0.250 0.138 Sn
0.418 0.750 0.386 Sn
0.582 0.250 0.614 Sn
0.672 0.750 0.862 Sn
0.720 0.044 0.969 Sn
0.720 0.456 0.969 Sn
0.780 0.544 0.469 Sn
0.780 0.956 0.469 Sn
0.828 0.250 0.362 Sn
0.918 0.750 0.114 Sn
```

Properties
Raw total energy = -5.306 eV per atom
Formation energy = -0.781 eV/atom
Space-group type = No. 62

6.
VASP calculation (PBE) on crystalline YB12 at its relaxed geometry.

```
YB12
1.0
0.000 3.750 3.750
3.750 0.000 3.750
3.750 3.750 0.000
Y B
1 12
Direct
0.000 0.000 0.000 Y
0.162 0.500 0.500 B
0.162 0.500 0.838 B
0.162 0.838 0.500 B
0.500 0.162 0.500 B
0.500 0.162 0.838 B
0.500 0.500 0.162 B
0.500 0.500 0.838 B
0.500 0.838 0.162 B
0.500 0.838 0.500 B
0.838 0.162 0.500 B
0.838 0.500 0.162 B
0.838 0.500 0.500 B
```

Properties
Raw total energy = -6.907 eV per atom
Formation energy = -0.244 eV/atom
Space-group type = No. 225